1.
Crystalline Cs2RbFeF6 at its relaxed geometry. Source: Materials Project, functional GGA+U.

V   20.8 Å³ per atom
E_form   -29.28 eV per formula unit

Unit cell a=9.3990 b=9.3990 c=9.3990 alpha=90.00 beta=90.00 gamma=90.00
Closest atoms and distances in Å follow each position.
Space group Fm-3m (No. 225)
Inequivalent atoms, fractional coordinates:
Cs 0.2500 0.2500 0.2500 [8 per cell]  12 F 3.34
Rb 0.0000 0.0000 0.0000 [4 per cell]  6 F 2.72
Fe 0.0000 0.0000 0.5000 [4 per cell]  6 F 1.98
F 0.0000 0.0000 0.2895 [24 per cell]  1 Fe 1.98

2.
Crystalline Rb2MoO4 at its relaxed geometry. Source: Materials Project, functional GGA+U.

V   21.9 Å³ per atom
E_form   -15.36 eV per formula unit
ΔE to the lowest computed polymorph   5 meV/atom

Unit cell a=8.2796 b=6.4802 c=11.4361 alpha=90.00 beta=90.00 gamma=90.00
Closest atoms and distances in Å follow each position.
Space group Pnma (No. 62)
Inequivalent atoms, fractional coordinates:
Rb 0.0009 0.2500 0.2103 [4 per cell]  7 O 2.94-3.19
Rb 0.1697 0.7500 0.4209 [4 per cell]  1 O 2.77
Mo 0.2192 0.7500 0.0798 [4 per cell]  4 O 1.79-1.81
O 0.0034 0.7500 0.0686 [4 per cell]  1 Mo 1.79
O 0.1882 0.2500 0.4365 [4 per cell]  1 Mo 1.81
O 0.2159 0.0228 0.6574 [8 per cell]  1 Mo 1.80

3.
Crystalline ZnFe2O4 at its relaxed geometry. Source: Materials Project, functional GGA+U.

V   12.2 Å³ per atom
E_form   -10.88 eV per formula unit
ΔE to the lowest computed polymorph   191 meV/atom
Total magnetic moment   110.00 μB/cell

Unit cell a=5.9629 b=6.0876 c=29.6105 alpha=88.63 beta=88.39 gamma=60.95
Closest atoms and distances in Å follow each position.
Space group P1 (No. 1)
Inequivalent atoms, fractional coordinates:
Zn 0.0000 0.0000 0.0000 [1 per cell]  3 O 1.88-1.94
Zn 0.0037 0.9803 0.5075 [1 per cell]  3 O 1.85-1.98
Zn 0.0910 0.2732 0.7655 [1 per cell]  4 O 1.95-2.09
Zn 0.2866 0.4168 0.1624 [1 per cell]  4 O 1.99-2.06
Zn 0.3033 0.9076 0.1006 [1 per cell]  6 O 2.06-2.21
Zn 0.4217 0.6072 0.9316 [1 per cell]  4 O 1.98-2.07
Zn 0.4436 0.5910 0.4291 [1 per cell]  5 O 1.99-2.19
Zn 0.6218 0.7463 0.3296 [1 per cell]  4 O 2.00-2.06
Zn 0.6318 0.2399 0.2664 [1 per cell]  6 O 2.10-2.15
Zn 0.7564 0.9404 0.5998 [1 per cell]  4 O 1.93-2.11
Zn 0.9689 0.5907 0.4304 [1 per cell]  5 O 2.03-2.14
Fe 0.1360 0.2414 0.2659 [1 per cell]  6 O 1.96-2.08
Fe 0.1385 0.7323 0.2663 [1 per cell]  6 O 2.00-2.12
Fe 0.1481 0.7434 0.7639 [1 per cell]  6 O 2.03-2.15
Fe 0.2655 0.4567 0.8542 [1 per cell]  5 O 1.89-2.10
Fe 0.2978 0.4044 0.3479 [1 per cell]  6 O 2.01-2.10
Fe 0.3024 0.4096 0.5349 [1 per cell]  4 O 1.86-1.96
Fe 0.3204 0.4015 0.0355 [1 per cell]  4 O 1.85-2.02
Fe 0.3244 0.3280 0.6714 [1 per cell]  3 O 1.82-1.90
Fe 0.4706 0.0671 0.4336 [1 per cell]  6 O 2.03-2.10
Fe 0.4859 0.0728 0.9300 [1 per cell]  6 O 2.01-2.11
Fe 0.5946 0.7851 0.5230 [1 per cell]  5 O 1.88-2.06
Fe 0.6284 0.7773 0.0172 [1 per cell]  5 O 1.90-2.10
Fe 0.6475 0.7352 0.7007 [1 per cell]  4 O 1.87-1.97
Fe 0.6490 0.7297 0.2033 [1 per cell]  4 O 1.94-2.00
Fe 0.6580 0.6584 0.8356 [1 per cell]  3 O 1.84-1.90
Fe 0.8037 0.9161 0.1019 [1 per cell]  6 O 2.01-2.21
Fe 0.8060 0.4072 0.0988 [1 per cell]  6 O 1.97-2.05
Fe 0.8175 0.4000 0.5981 [1 per cell]  6 O 1.94-2.14
Fe 0.9329 0.1226 0.6887 [1 per cell]  5 O 1.89-2.09
Fe 0.9714 0.0759 0.3681 [1 per cell]  4 O 1.91-1.95
Fe 0.9712 0.0812 0.1819 [1 per cell]  6 O 1.99-2.10
Fe 0.9798 0.0720 0.8675 [1 per cell]  4 O 1.87-1.97
O 0.0270 0.0473 0.8046 [1 per cell]  2 Fe 1.87-2.04, 1 Zn 1.95
O 0.1064 0.2439 0.1383 [1 per cell]  2 Fe 1.97-1.99, 2 Zn 1.99-2.12
O 0.1106 0.7738 0.1418 [1 per cell]  2 Zn 1.99-2.06, 2 Fe 2.01-2.04
O 0.1116 0.2343 0.6435 [1 per cell]  3 Fe 1.85-2.06
O 0.1233 0.7443 0.8912 [1 per cell]  2 Fe 1.87-1.89, 1 Zn 1.98
O 0.1390 0.7295 0.3859 [1 per cell]  2 Fe 1.91-2.08, 2 Zn 2.04-2.06
O 0.1422 0.2465 0.3939 [1 per cell]  3 Fe 1.95-2.10, 1 Zn 2.14
O 0.1772 0.2247 0.8874 [1 per cell]  3 Fe 1.93-2.06
O 0.2833 0.4132 0.7308 [1 per cell]  2 Fe 1.82-2.03, 1 Zn 1.98
O 0.2847 0.9197 0.7205 [1 per cell]  3 Fe 1.97-2.09
O 0.2851 0.9258 0.2251 [1 per cell]  4 Fe 2.00-2.12
O 0.2872 0.4130 0.2301 [1 per cell]  2 Fe 1.96-2.02, 2 Zn 2.01-2.11
O 0.3068 0.3971 0.4687 [1 per cell]  2 Fe 1.96-2.05, 2 Zn 2.06-2.12
O 0.3276 0.8851 0.4749 [1 per cell]  2 Zn 1.96-2.09, 2 Fe 2.02-2.06
O 0.3371 0.8999 0.9752 [1 per cell]  2 Zn 1.92-2.07, 2 Fe 1.98-2.11
O 0.3679 0.3783 0.9734 [1 per cell]  1 Fe 1.85, 1 Zn 1.98
O 0.4295 0.1050 0.3067 [1 per cell]  2 Fe 1.97-2.02, 2 Zn 2.02-2.10
O 0.4437 0.5648 0.8087 [1 per cell]  2 Fe 1.84-1.98
O 0.4467 0.5661 0.3057 [1 per cell]  2 Zn 2.00-2.10, 2 Fe 2.00-2.01
O 0.4595 0.0804 0.5569 [1 per cell]  2 Fe 1.86-1.88, 1 Zn 2.02
O 0.4903 0.0580 0.0603 [1 per cell]  3 Fe 1.96-2.07, 1 Zn 2.09
O 0.5009 0.5743 0.0574 [1 per cell]  3 Fe 1.96-2.08
O 0.5021 0.5545 0.5542 [1 per cell]  3 Fe 1.90-2.11
O 0.6110 0.7546 0.8951 [1 per cell]  2 Fe 1.84-2.01, 1 Zn 2.03
O 0.6165 0.2558 0.8874 [1 per cell]  3 Fe 1.97-2.10
O 0.6166 0.2426 0.3903 [1 per cell]  3 Fe 1.95-2.10
O 0.6318 0.7459 0.3973 [1 per cell]  3 Zn 1.99-2.03, 1 Fe 2.03
O 0.6468 0.2448 0.6440 [1 per cell]  2 Fe 1.90-2.02, 1 Zn 2.11
O 0.6500 0.7232 0.1377 [1 per cell]  3 Fe 1.94-2.07, 1 Zn 2.13
O 0.6605 0.2338 0.1386 [1 per cell]  3 Fe 2.01-2.08, 1 Zn 2.06
O 0.6973 0.7098 0.6375 [1 per cell]  2 Fe 1.88-2.04, 1 Zn 1.93
O 0.7827 0.8836 0.4742 [1 per cell]  2 Zn 1.98-2.05, 2 Fe 2.05-2.06
O 0.7847 0.8961 0.9733 [1 per cell]  1 Zn 1.88, 2 Fe 1.90-2.04
O 0.7893 0.4112 0.7253 [1 per cell]  2 Fe 1.87-1.89, 1 Zn 1.99
O 0.8157 0.9128 0.2245 [1 per cell]  3 Fe 1.94-2.11, 1 Zn 2.15
O 0.8310 0.3841 0.2250 [1 per cell]  3 Fe 1.94-2.07, 1 Zn 2.14
O 0.8414 0.8923 0.7209 [1 per cell]  3 Fe 1.94-2.06
O 0.9448 0.5822 0.5537 [1 per cell]  3 Fe 1.94-2.06
O 0.9493 0.0818 0.5672 [1 per cell]  2 Zn 1.85-1.96, 1 Fe 1.94
O 0.9515 0.5846 0.0580 [1 per cell]  4 Fe 2.02-2.21
O 0.9574 0.0908 0.0634 [1 per cell]  2 Zn 1.94-2.13, 2 Fe 1.99-2.03
O 0.9788 0.0710 0.3024 [1 per cell]  3 Fe 1.95-2.11, 1 Zn 2.12
O 0.9832 0.5752 0.8090 [1 per cell]  2 Fe 1.90-2.01, 1 Zn 2.09
O 0.9922 0.5480 0.3049 [1 per cell]  3 Fe 2.01-2.06, 1 Zn 2.06

4.
Crystalline Mn3Cr2Sb3O16 at its relaxed geometry. Source: Materials Project, functional GGA+U.

V   12.0 Å³ per atom
E_form   -45.58 eV per formula unit
Total magnetic moment   32.00 μB/cell

Unit cell a=10.5744 b=6.0320 c=9.0467 alpha=90.00 beta=90.22 gamma=90.00
Closest atoms and distances in Å follow each position.
Space group Cm (No. 8)
Inequivalent atoms, fractional coordinates:
Mn 0.0000 0.0000 0.0000 [2 per cell]  5 O 1.97-2.17
Mn 0.4172 0.2489 0.4954 [4 per cell]  6 O 1.95-2.01
Cr 0.1607 0.0000 0.2781 [2 per cell]  6 O 2.04-2.05
Cr 0.4897 0.0000 0.7694 [2 per cell]  6 O 1.99-2.10
Sb 0.1662 0.5000 0.4948 [2 per cell]  6 O 1.99-2.06
Sb 0.2487 0.2486 0.9951 [4 per cell]  6 O 1.98-2.05
O 0.0652 0.2825 0.6229 [4 per cell]  1 Mn 1.95, 1 Cr 2.03, 1 Sb 2.05
O 0.0932 0.2147 0.1227 [4 per cell]  1 Mn 1.97, 1 Sb 2.02, 1 Cr 2.04
O 0.1635 0.5000 0.8820 [2 per cell]  2 Sb 2.04, 1 Cr 2.10
O 0.1777 0.0000 0.8715 [2 per cell]  2 Sb 2.01, 1 Mn 2.21
O 0.2494 0.2507 0.3895 [4 per cell]  1 Sb 1.99, 1 Mn 2.01, 1 Cr 2.04
O 0.3090 0.0000 0.1324 [2 per cell]  2 Sb 2.05, 1 Cr 2.05
O 0.3193 0.5000 0.1121 [2 per cell]  2 Sb 1.99, 1 Mn 2.17
O 0.3364 0.5000 0.6010 [2 per cell]  2 Mn 1.99, 1 Sb 2.04
O 0.3551 0.0000 0.6155 [2 per cell]  2 Mn 1.97, 1 Cr 1.99
O 0.4131 0.2529 0.8905 [4 per cell]  1 Sb 1.98, 1 Mn 2.01, 1 Cr 2.05
O 0.4932 0.5000 0.3886 [2 per cell]  2 Mn 1.97, 1 Cr 2.04
O 0.4947 0.0000 0.3852 [2 per cell]  2 Mn 1.98, 1 Sb 2.06

5.
Crystalline Al2NiO4 at its relaxed geometry. Source: Materials Project, functional GGA+U.

V   9.6 Å³ per atom
E_form   -19.55 eV per formula unit
ΔE to the lowest computed polymorph   10 meV/atom
Total magnetic moment   40.00 μB/cell

Unit cell a=9.9747 b=5.7655 c=23.5690 alpha=90.00 beta=98.19 gamma=90.00
Closest atoms and distances in Å follow each position.
Space group Cm (No. 8)
Inequivalent atoms, fractional coordinates:
Al 0.0000 0.0000 0.0000 [2 per cell]  4 O 1.79-1.84
Al 0.0166 0.2524 0.3255 [4 per cell]  6 O 1.87-1.98
Al 0.0393 0.5000 0.6500 [2 per cell]  4 O 1.82-1.91
Al 0.1036 0.5000 0.8017 [2 per cell]  4 O 1.78-1.82
Al 0.1198 0.2497 0.1263 [4 per cell]  6 O 1.90-1.98
Al 0.1360 0.0000 0.4502 [2 per cell]  4 O 1.81-1.90
Al 0.2210 0.2502 0.9269 [4 per cell]  6 O 1.90-1.98
Al 0.2388 0.5000 0.2529 [2 per cell]  4 O 1.79-1.85
Al 0.3232 0.2479 0.7276 [4 per cell]  6 O 1.85-2.03
Al 0.3406 0.0000 0.0531 [2 per cell]  4 O 1.79-1.85
Al 0.3693 0.5000 0.6239 [2 per cell]  6 O 1.87-2.00
Al 0.3983 0.0000 0.1986 [2 per cell]  4 O 1.80-1.85
Al 0.4167 0.2547 0.5256 [4 per cell]  6 O 1.88-2.01
Al 0.4419 0.5000 0.8533 [2 per cell]  4 O 1.79-1.86
Al 0.4673 0.0000 0.4238 [2 per cell]  6 O 1.86-2.02
Ni 0.0688 0.0000 0.2265 [2 per cell]  6 O 2.04-2.09
Ni 0.0738 0.0000 0.7271 [2 per cell]  6 O 2.02-2.07
Ni 0.1700 0.5000 0.0264 [2 per cell]  6 O 2.04-2.07
Ni 0.1705 0.5000 0.5258 [2 per cell]  6 O 2.02-2.07
Ni 0.1967 0.0000 0.6029 [2 per cell]  4 O 1.94-1.97
Ni 0.2686 0.0000 0.3254 [2 per cell]  6 O 2.02-2.08
Ni 0.2720 0.0000 0.8265 [2 per cell]  6 O 2.04-2.10
Ni 0.2936 0.5000 0.3987 [2 per cell]  4 O 1.94-1.98
Ni 0.3697 0.5000 0.1261 [2 per cell]  6 O 2.03-2.07
Ni 0.4706 0.0000 0.9266 [2 per cell]  6 O 2.04-2.07
O 0.0024 0.0000 0.5729 [2 per cell]  3 Al 1.91-1.92, 1 Ni 1.97
O 0.0089 0.5000 0.5721 [2 per cell]  3 Al 1.82-1.98
O 0.0232 0.5000 0.0798 [2 per cell]  3 Al 1.84-1.98
O 0.0287 0.0000 0.0783 [2 per cell]  3 Al 1.83-1.97
O 0.0560 0.2592 0.4754 [4 per cell]  3 Al 1.83-1.97
O 0.0797 0.2478 0.9730 [4 per cell]  2 Al 1.79-1.90
O 0.0964 0.5000 0.3723 [2 per cell]  3 Al 1.89-1.91, 1 Ni 1.98
O 0.1085 0.0000 0.3726 [2 per cell]  3 Al 1.81-1.97
O 0.1244 0.0000 0.8799 [2 per cell]  3 Al 1.84-1.98
O 0.1307 0.5000 0.8798 [2 per cell]  3 Al 1.82-1.96
O 0.1586 0.2529 0.2795 [4 per cell]  2 Al 1.79-1.90
O 0.1817 0.2548 0.7738 [4 per cell]  2 Al 1.78-1.90
O 0.2105 0.5000 0.1738 [2 per cell]  3 Al 1.85-1.97
O 0.2152 0.0000 0.1718 [2 per cell]  3 Al 1.85-1.96
O 0.2292 0.5000 0.6765 [2 per cell]  4 Al 1.91-2.03
O 0.2394 0.0000 0.6871 [2 per cell]  2 Al 1.85, 2 Ni 1.97-2.02
O 0.2602 0.2483 0.0792 [4 per cell]  2 Al 1.79-1.91
O 0.2863 0.2684 0.5758 [4 per cell]  2 Al 1.87-1.88, 2 Ni 1.94-2.03
O 0.3113 0.0000 0.9740 [2 per cell]  3 Al 1.85-1.96, 1 Ni 2.07
O 0.3174 0.5000 0.9726 [2 per cell]  3 Al 1.84-1.97
O 0.3246 0.0000 0.4769 [2 per cell]  4 Al 1.90-2.02
O 0.3314 0.5000 0.4823 [2 per cell]  2 Al 1.88, 2 Ni 1.95-2.02
O 0.3613 0.2519 0.8795 [4 per cell]  2 Al 1.79-1.91
O 0.3855 0.2287 0.3748 [4 per cell]  2 Al 1.86-1.87, 2 Ni 1.94-2.02
O 0.4129 0.5000 0.7737 [2 per cell]  3 Al 1.86-1.95, 1 Ni 2.07
O 0.4204 0.5000 0.2807 [2 per cell]  3 Al 1.84-1.97
O 0.4242 0.0000 0.7737 [2 per cell]  3 Al 1.82-1.98
O 0.4253 0.0000 0.2758 [2 per cell]  3 Al 1.80-1.98
O 0.4601 0.2604 0.6757 [4 per cell]  3 Al 1.84-1.98
O 0.4790 0.2490 0.1725 [4 per cell]  2 Al 1.80-1.90

Please write out number 1 again, unchanged.
Crystalline Cs2RbFeF6 at its relaxed geometry. Source: Materials Project, functional GGA+U.

V   20.8 Å³ per atom
E_form   -29.28 eV per formula unit

Unit cell a=9.3990 b=9.3990 c=9.3990 alpha=90.00 beta=90.00 gamma=90.00
Closest atoms and distances in Å follow each position.
Space group Fm-3m (No. 225)
Inequivalent atoms, fractional coordinates:
Cs 0.2500 0.2500 0.2500 [8 per cell]  12 F 3.34
Rb 0.0000 0.0000 0.0000 [4 per cell]  6 F 2.72
Fe 0.0000 0.0000 0.5000 [4 per cell]  6 F 1.98
F 0.0000 0.0000 0.2895 [24 per cell]  1 Fe 1.98

> The highest E_form belongs to which entry?

ZnFe2O4

> What is the V in the fourth record?

12.0 Å³ per atom